Compound: Sr2CoCu2O7
Source: the Materials Project
Functional: PBE with a Hubbard U
Structure: optimized geometry

Computed properties:
ΔH_f (0 K)   -1.647 eV/atom
Calculated density   4.80 g/cm³
Magnetic moment   3.66 μB per formula unit
V   13.64 A^3/atom
VASP energy   -66.64 eV per formula unit
Space group   Ima2 (46)

```
Sr2CoCu2O7
1.0
-0.377 -0.671 12.824
-7.247 -1.447 10.509
4.300 -2.550 -11.834
Sr Cu O Co
4 4 14 2
Cartesian
-2.140 -4.265 8.073
-0.584 -3.833 3.310
1.684 -3.217 -3.590
3.241 -2.785 -8.353
-1.339 -2.467 10.826
-4.784 -2.847 9.666
-1.863 -2.036 0.726
1.582 -1.656 1.886
-1.746 -3.878 1.024
-2.754 -2.317 3.609
-0.432 -2.164 7.951
0.613 -1.873 4.750
2.347 -2.329 -5.948
1.694 -3.490 2.195
-0.263 -1.887 1.689
-3.799 -2.608 6.810
-0.594 -3.559 -2.475
-4.079 -2.939 13.367
-0.717 -4.002 5.906
-2.934 -2.629 9.864
0.881 -1.561 -1.812
2.830 -3.174 -1.310
-3.702 -2.403 5.076
0.249 -2.440 6.364
```

=====

Compound: Sr6Y2Co3Cu6O21
Source: the Materials Project
Functional: PBE with a Hubbard U
Structure: optimized geometry

Computed properties:
ΔH_f (0 K)   -2.099 eV/atom
Calculated density   5.18 g/cm³
Magnetic moment   10.20 μB per formula unit
V   13.48 A^3/atom
VASP energy   -233.31 eV per formula unit
Space group   P1 (1)

```
Sr6Y2Co3Cu6O21
1.0
-10.911 -11.880 -1.369
2.031 -2.360 4.464
-6.628 9.216 4.579
O Sr Y Cu Co
42 12 4 12 6
Cartesian
-14.968 -3.021 3.622
-6.851 3.789 6.765
-4.434 0.269 2.019
-10.883 -5.092 5.723
-11.514 0.889 3.889
-3.079 -2.746 1.603
-8.758 -6.947 3.766
-6.550 2.119 3.951
-5.971 6.734 4.762
-6.954 -6.616 1.166
-10.384 -10.531 0.913
-4.999 5.635 6.789
-5.066 -2.914 4.220
-2.991 3.233 3.805
-10.213 -1.919 3.507
-11.627 -7.243 3.949
-7.250 -1.204 6.179
-8.049 -3.627 1.556
-2.056 -3.960 3.825
-5.022 -4.488 1.402
-3.911 -5.811 3.771
-3.672 2.781 6.586
-11.639 -7.584 1.124
-6.719 -0.662 3.429
-8.548 -8.679 0.907
-7.901 -3.345 4.326
-9.426 -11.673 2.944
-7.525 -9.893 3.122
-0.469 -1.891 4.050
-5.831 -7.926 3.551
-10.378 -0.400 6.274
-10.298 -4.652 2.924
-13.853 -5.844 2.992
-13.970 -4.120 5.650
-7.900 4.970 4.545
-1.425 -0.770 2.022
-4.292 0.651 4.815
-12.301 -2.152 6.094
-13.346 -0.976 3.887
-9.577 2.997 4.168
-1.446 1.014 4.704
-8.427 1.718 6.535
-12.412 -3.580 3.649
-2.996 -1.304 4.027
-5.143 4.284 4.557
-6.487 -5.345 3.436
-9.557 -2.871 6.164
-2.054 1.798 1.862
-10.231 -9.180 3.136
-5.832 -2.018 1.504
-5.901 1.128 6.653
-9.493 -6.029 1.043
-8.901 0.456 4.246
-13.330 -6.683 5.826
-11.793 -0.982 8.139
-7.351 6.137 6.590
-8.053 -11.052 1.096
-3.614 -3.932 -0.450
-9.009 0.166 7.488
-3.598 -4.321 2.646
-8.253 3.285 5.490
-5.329 4.180 7.949
-15.481 -4.590 4.573
-7.149 -8.186 2.206
0.074 -0.315 3.119
-12.692 -3.833 7.023
-11.803 -0.579 5.043
-6.388 -5.076 0.198
-2.704 -1.075 0.659
-10.062 -9.090 -0.264
-5.493 0.817 3.347
-6.531 -2.036 4.768
-2.887 1.935 5.219
-12.751 -7.115 2.422
-10.183 -5.990 4.323
-9.107 -3.147 2.885
```

=====

Compound: Co3Cu3Te2O12
Source: the Materials Project
Functional: PBE with a Hubbard U
Structure: optimized geometry

Computed properties:
ΔH_f (0 K)   -1.262 eV/atom
Calculated density   5.92 g/cm³
Magnetic moment   6.00 μB per formula unit
V   11.43 A^3/atom
VASP energy   -111.37 eV per formula unit
Space group   I2_13 (199)

```
Co3Cu3Te2O12
1.0
-4.854 4.854 -4.854
4.854 -4.854 -4.854
-4.854 -4.854 -4.854
Co Cu Te O
6 6 4 24
Cartesian
-2.427 -4.497 -9.707
0.356 -4.854 -7.280
-7.280 -0.356 -9.707
-0.356 0.000 -7.280
-4.854 -2.427 -5.210
0.000 -2.427 -4.497
0.000 -2.427 -9.421
2.427 -4.568 -4.854
-5.139 0.000 -7.280
-4.568 -4.854 -7.280
-2.427 -0.286 -4.854
-4.854 -2.427 -9.993
-2.458 -2.396 -7.311
-2.458 2.396 -7.250
-2.396 -2.396 -2.396
-2.396 2.396 -2.458
1.245 -3.233 -5.934
-1.245 -1.620 -5.934
-6.068 -1.673 -8.678
-1.080 -6.098 -6.474
-3.609 -1.620 -3.773
-1.673 -1.029 -8.493
-6.474 1.080 -8.463
-3.181 1.029 -3.639
-5.882 -3.639 -6.526
-1.080 -3.609 -8.087
-1.620 -5.934 -10.952
-3.825 1.214 -8.034
-3.233 -5.934 -8.463
-3.773 -3.609 -11.327
-3.639 -3.181 -8.678
1.673 -5.882 -6.068
-3.639 3.181 -5.882
1.080 -1.245 -8.087
-1.245 -8.087 -8.627
-1.214 -3.181 -10.736
-3.825 -1.214 -6.526
-1.673 1.029 -6.068
-1.029 -1.214 -3.181
-3.233 -3.773 -6.098
```

=====

Compound: CoCu2TeO6
Source: the Materials Project
Functional: PBE with a Hubbard U
Structure: optimized geometry

Computed properties:
ΔH_f (0 K)   -1.199 eV/atom
Calculated density   5.99 g/cm³
Magnetic moment   3.04 μB per formula unit
V   11.36 A^3/atom
VASP energy   -54.37 eV per formula unit
Space group   I2_12_12_1 (24)

```
CoCu2TeO6
1.0
-4.820 4.849 -4.863
4.820 -4.849 -4.863
-4.820 -4.849 -4.863
O Te Co Cu
24 4 4 8
Cartesian
-5.526 -1.150 -8.295
-1.343 -5.687 -6.048
-5.526 1.150 -6.294
-0.731 -1.131 -6.288
-6.029 -3.450 -10.462
-3.610 1.399 -4.126
-3.610 -1.399 -10.462
-1.435 -0.792 -3.708
-1.209 -1.399 -8.989
-8.297 -0.838 -8.541
-1.192 -6.223 -10.527
3.385 -4.056 -6.018
-1.192 -3.474 -4.061
0.731 -5.980 -8.301
1.192 -1.374 -4.061
-5.551 -3.717 -13.164
-1.343 -4.011 -8.541
-3.477 -4.011 -10.910
0.731 -3.717 -6.288
-4.113 -3.698 -8.295
-3.385 0.792 -8.571
-3.385 -0.792 -6.018
0.706 -1.150 -1.431
-3.628 -3.474 -5.664
-0.035 -0.011 -9.722
-4.785 0.011 -4.859
-4.785 -0.011 -9.730
-0.035 0.011 -4.867
-6.867 0.000 -7.294
-4.820 -2.424 -11.784
-2.773 -4.849 -7.294
0.000 -2.424 -7.667
-4.820 -2.424 -7.009
2.124 -4.849 -7.294
-2.124 0.000 -7.294
-2.410 -2.165 -4.863
-7.230 -2.134 -9.726
0.000 -2.424 -2.716
-2.410 -2.714 -9.726
2.410 -2.683 -4.863
```